# 1
A plane-wave DFT calculation with GGA-PBE was carried out for a geometry-optimized CaMg5 structure.

The structure in POSCAR format:
```
CaMg5
1.0
2.8297 1.6337 5.6188
-2.8297 1.6337 5.6188
0.0000 -3.2674 5.6188
Ca Mg
1 5
Cartesian
0.0000 0.0000 0.0000 Ca
-1.8609 0.0000 8.4282 Mg
0.0000 0.0000 5.6320 Mg
0.9305 -1.6116 8.4282 Mg
0.0000 0.0000 11.2243 Mg
0.9305 1.6116 8.4282 Mg
```

Calculated values
The symmetry is R32 (155).

***

# 2
A plane-wave DFT calculation with GGA-PBE was carried out for a geometry-optimized CaMg3 structure.

The structure in POSCAR format:
```
CaMg3
1.0
5.4753 0.0000 0.0000
0.0000 5.4753 0.0000
0.0000 0.0000 6.9833
Ca Mg
2 6
Cartesian
0.0000 0.0000 0.0000 Ca
2.7376 2.7376 3.4917 Ca
0.0000 0.0000 3.4917 Mg
0.0000 2.7376 1.7458 Mg
0.0000 2.7376 5.2375 Mg
2.7376 0.0000 1.7458 Mg
2.7376 0.0000 5.2375 Mg
2.7376 2.7376 0.0000 Mg
```

Calculated values
The symmetry is I4/mmm (139).

***

# 3
A plane-wave DFT calculation with GGA-PBE was carried out for a geometry-optimized CaMg2 structure.

The structure in POSCAR format:
```
CaMg2
1.0
-3.7017 -2.1555 3.2971
2.4689 -0.0740 2.7235
-5.0358 16.3084 5.0081
Ca Mg
4 8
Cartesian
-2.5991 5.3059 4.9820 Ca
-2.9149 2.3681 2.7067 Ca
-6.3514 13.4971 6.1243 Ca
-4.1984 10.4853 6.5725 Ca
-0.0602 0.1949 0.0599 Mg
0.4185 2.6054 2.1732 Mg
-1.6695 5.4065 1.6603 Mg
-0.8993 -0.1987 3.2916 Mg
-1.3437 8.3121 3.9257 Mg
-3.3338 10.7966 3.3155 Mg
-2.9529 13.5237 5.5261 Mg
-4.6517 7.9925 4.4339 Mg
```

***

# 4
A plane-wave DFT calculation with GGA-PBE was carried out for a geometry-optimized Ca5Mg structure.

The structure in POSCAR format:
```
Ca5Mg
1.0
6.1467 0.0000 0.0000
0.0000 3.8362 0.0000
0.0000 0.0000 19.6448
Ca Mg
10 2
Cartesian
0.0000 0.0000 0.0000 Ca
0.0000 0.0000 6.1613 Ca
0.0000 1.9181 9.8224 Ca
0.0000 1.9181 15.9836 Ca
3.0733 0.0000 2.0824 Ca
3.0733 0.0000 8.5267 Ca
3.0733 0.0000 15.0249 Ca
3.0733 1.9181 5.2025 Ca
3.0733 1.9181 11.9048 Ca
3.0733 1.9181 18.3491 Ca
0.0000 0.0000 12.9083 Mg
0.0000 1.9181 3.0859 Mg
```

Calculated values
The symmetry is Amm2 (38).

***

# 5
A plane-wave DFT calculation with GGA-PBE was carried out for a geometry-optimized CaMg structure.

The structure in POSCAR format:
```
CaMg
1.0
10.6163 0.0000 0.0000
0.0000 6.1580 0.0000
-3.1034 0.0000 5.8270
Ca Mg
6 6
Cartesian
0.0000 0.0000 0.0000 Ca
0.1935 3.9399 2.8593 Ca
2.0113 0.8609 2.9677 Ca
5.3082 3.0790 0.0000 Ca
5.5017 0.8609 2.8593 Ca
7.3195 3.9399 2.9677 Ca
-1.5517 0.9124 2.9135 Mg
-1.3033 2.9258 5.8080 Mg
3.5081 6.0048 0.0191 Mg
3.7565 3.9914 2.9135 Mg
4.0049 6.0048 5.8080 Mg
8.8163 2.9258 0.0191 Mg
```

Calculated values
The symmetry is C2 (5).

***

# 6
A plane-wave DFT calculation with GGA-PBE was carried out for a geometry-optimized CaMg5 structure.

The structure in POSCAR format:
```
CaMg5
1.0
5.2592 0.0000 0.0000
0.0000 3.4186 0.0000
0.0000 0.0000 17.2840
Ca Mg
2 10
Cartesian
0.0000 1.7093 12.4553 Ca
0.0000 0.0000 3.8133 Ca
2.6296 0.0000 0.0319 Mg
2.6296 0.0000 11.4059 Mg
2.6296 1.7093 14.4827 Mg
0.0000 0.0000 15.4735 Mg
0.0000 0.0000 9.5254 Mg
2.6296 1.7093 8.6739 Mg
2.6296 1.7093 2.7639 Mg
2.6296 0.0000 5.8407 Mg
0.0000 1.7093 6.8315 Mg
0.0000 1.7093 0.8834 Mg
```

***

# 7
A plane-wave DFT calculation with GGA-PBE was carried out for a geometry-optimized CaMg3 structure.

The structure in POSCAR format:
```
CaMg3
1.0
3.4091 0.0000 0.0000
-1.7045 2.9523 0.0000
0.0000 0.0000 10.8807
Ca Mg
1 3
Cartesian
0.0000 0.0000 0.0000 Ca
0.0000 0.0000 5.4403 Mg
1.7045 0.9841 2.8785 Mg
1.7045 0.9841 8.0022 Mg
```

Calculated values
The symmetry is P-6m2 (187).

***

# 8
A plane-wave DFT calculation with GGA-PBE was carried out for a geometry-optimized CaMg3 structure.

The structure in POSCAR format:
```
CaMg3
1.0
7.4915 0.0000 0.0000
0.0000 7.4915 0.0000
0.0000 0.0000 7.4915
Ca Mg
4 12
Cartesian
0.0000 0.0000 0.0000 Ca
0.0000 3.7457 3.7457 Ca
3.7457 0.0000 3.7457 Ca
3.7457 3.7457 0.0000 Ca
0.0000 0.0000 3.7457 Mg
0.0000 3.7457 0.0000 Mg
1.8729 1.8729 1.8729 Mg
1.8729 1.8729 5.6186 Mg
1.8729 5.6186 1.8729 Mg
1.8729 5.6186 5.6186 Mg
3.7457 0.0000 0.0000 Mg
3.7457 3.7457 3.7457 Mg
5.6186 1.8729 1.8729 Mg
5.6186 1.8729 5.6186 Mg
5.6186 5.6186 1.8729 Mg
5.6186 5.6186 5.6186 Mg
```

Calculated values
The symmetry is Fm-3m (225).

***

# 9
A plane-wave DFT calculation with GGA-PBE was carried out for a geometry-optimized CaMg structure.

The structure in POSCAR format:
```
CaMg
1.0
5.7032 0.0000 0.0000
0.0000 10.7618 0.0000
0.0000 0.0000 6.1183
Ca Mg
6 6
Cartesian
0.0000 1.8747 0.9624 Ca
0.0000 3.5062 4.0216 Ca
2.8516 5.3809 5.2287 Ca
0.0000 7.2556 4.0216 Ca
0.0000 8.8870 0.9624 Ca
2.8516 0.0000 2.1696 Ca
0.0000 5.3809 1.0572 Mg
2.8516 3.6398 2.0129 Mg
2.8516 1.7411 5.0721 Mg
0.0000 0.0000 4.1163 Mg
2.8516 9.0207 5.0721 Mg
2.8516 7.1219 2.0129 Mg
```

***

# 10
A plane-wave DFT calculation with GGA-PBE was carried out for a geometry-optimized CaMg6Mo structure.

The structure in POSCAR format:
```
CaMg6Mo
1.0
6.3676 0.0000 0.0000
0.0000 6.3676 0.0000
0.0000 0.0000 4.3670
Ca Mg Mo
1 6 1
Cartesian
0.0000 0.0000 0.0000 Ca
0.0000 3.1838 0.0000 Mg
1.7422 1.7422 2.1835 Mg
1.7422 4.6254 2.1835 Mg
3.1838 0.0000 0.0000 Mg
4.6254 1.7422 2.1835 Mg
4.6254 4.6254 2.1835 Mg
3.1838 3.1838 0.0000 Mo
```

Calculated values
The symmetry is P4/mmm (123).

***

# 11
A plane-wave DFT calculation with GGA-PBE was carried out for a geometry-optimized CaMg6Mo structure.

The structure in POSCAR format:
```
CaMg6Mo
1.0
5.0889 0.0000 0.0000
0.0000 6.3902 0.0000
0.0000 0.0000 11.1050
Ca Mg Mo
2 12 2
Cartesian
0.0000 3.1951 3.6214 Ca
0.0000 0.0000 9.1739 Ca
0.0000 1.6966 0.9586 Mg
0.0000 4.6936 0.9586 Mg
0.0000 0.0000 3.7173 Mg
2.5445 4.8311 4.6617 Mg
2.5445 1.5591 4.6617 Mg
2.5445 0.0000 1.8369 Mg
0.0000 4.8917 6.5111 Mg
0.0000 1.4985 6.5111 Mg
0.0000 3.1951 9.2699 Mg
2.5445 1.6360 10.2143 Mg
2.5445 4.7542 10.2143 Mg
2.5445 3.1951 7.3894 Mg
2.5445 3.1951 1.7938 Mo
2.5445 0.0000 7.3463 Mo
```

***

# 12
A plane-wave DFT calculation with GGA-PBE was carried out for a geometry-optimized Ca5MgN4 structure.

The structure in POSCAR format:
```
Ca5MgN4
1.0
7.5898 0.0000 0.0000
0.0000 7.9368 0.0000
0.0000 0.0000 5.8662
Ca Mg N
10 2 8
Cartesian
0.0151 0.4026 1.4375 Ca
0.0151 3.5658 1.4375 Ca
1.8974 1.9842 4.1226 Ca
3.7798 0.4026 1.4375 Ca
3.7798 3.5658 1.4375 Ca
3.8100 4.3710 4.4286 Ca
3.8100 7.5341 4.4286 Ca
5.6923 5.9526 1.7436 Ca
7.5747 4.3710 4.4286 Ca
7.5747 7.5341 4.4286 Ca
1.8974 5.9526 1.6506 Mg
5.6923 1.9842 4.2155 Mg
0.0712 5.9526 0.4535 N
1.8974 4.0408 2.8618 N
1.8974 7.8644 2.8618 N
3.7236 5.9526 0.4535 N
3.8661 1.9842 5.4126 N
5.6923 0.0724 3.0043 N
5.6923 3.8960 3.0043 N
7.5185 1.9842 5.4126 N
```

Calculated values
The symmetry is Pmmn (59).

***

# 13
A plane-wave DFT calculation with GGA-PBE was carried out for a geometry-optimized CaMg3SiN4 structure.

The structure in POSCAR format:
```
CaMg3SiN4
1.0
-5.7460 5.7460 6.7467
5.7460 -5.7460 6.7467
5.7460 5.7460 -6.7467
Ca Mg Si N
8 24 8 32
Cartesian
3.1272 0.1647 1.2439 Ca
8.7837 -0.2542 2.1294 Ca
3.0377 -0.2542 4.6173 Ca
3.1272 5.9107 -1.2439 Ca
2.6188 -0.1647 7.9906 Ca
2.7083 6.0002 2.1294 Ca
-3.0377 6.0002 4.6173 Ca
2.6188 5.5813 5.5028 Ca
7.5355 2.5374 -2.5447 Mg
5.4104 1.0835 -0.8287 Mg
3.9565 3.2086 -2.5447 Mg
-0.1953 1.0229 0.8139 Mg
4.1812 -2.9159 5.7796 Mg
1.5649 2.9159 -0.9671 Mg
5.7889 1.3081 2.4063 Mg
6.0816 4.6625 -0.8287 Mg
1.8501 2.6777 2.5594 Mg
0.0429 1.3081 4.3404 Mg
-1.8501 3.0683 2.5594 Mg
0.1953 4.7231 0.8139 Mg
5.5507 1.0229 5.9328 Mg
7.5961 2.6777 4.1872 Mg
5.7031 4.4379 2.4063 Mg
3.8959 3.0683 4.1872 Mg
-0.3356 1.0835 7.5754 Mg
-0.0429 4.4379 4.3404 Mg
4.1812 2.8301 7.7138 Mg
1.5649 8.6619 0.9671 Mg
5.9413 4.7231 5.9328 Mg
1.7895 2.5374 9.2913 Mg
0.3356 4.6625 7.5754 Mg
-1.7895 3.2086 9.2913 Mg
6.1957 4.9408 -4.1019 Si
6.1957 -0.8052 4.1019 Si
7.8138 2.4233 0.7286 Si
3.6782 3.3227 0.7286 Si
2.0678 2.4233 6.0181 Si
-2.0678 3.3227 6.0181 Si
-0.4497 6.5512 2.6447 Si
-0.4497 0.8052 10.8486 Si
6.2275 -4.6035 5.5851 N
1.9429 -1.7374 2.7386 N
5.1193 -0.8232 2.6883 N
6.8816 0.9301 0.6347 N
3.6962 2.2463 -0.6850 N
7.6889 -1.7374 4.0081 N
9.4948 1.8695 0.8868 N
5.1193 4.9228 -2.6883 N
7.7958 3.4997 -0.6850 N
1.0036 0.8758 2.4865 N
5.2645 -1.1425 5.5851 N
4.0155 2.3915 2.2118 N
6.7496 0.8758 4.2602 N
1.9972 3.8766 0.8868 N
7.4765 3.3545 2.2118 N
4.6104 4.8159 0.6347 N
1.1356 0.9301 6.1120 N
-1.7305 2.3915 4.5349 N
3.7488 1.8695 5.8599 N
-1.0036 4.8702 2.4865 N
1.7305 3.3545 4.5349 N
0.4815 6.8885 1.1615 N
4.7424 4.8702 4.2602 N
-2.0498 2.2463 7.4317 N
0.6267 0.8232 9.4350 N
-3.7488 3.8766 5.8599 N
-1.9429 7.4834 2.7386 N
2.0498 3.4997 7.4317 N
-1.1356 4.8159 6.1120 N
0.6267 6.5692 4.0583 N
3.8031 7.4834 4.0081 N
-0.4815 10.3495 1.1615 N
```

Calculated values
The symmetry is I4_1/a (88).

***

# 14
A plane-wave DFT calculation with GGA-PBE was carried out for a geometry-optimized NaCaMg6 structure.

The structure in POSCAR format:
```
NaCaMg6
1.0
-4.2507 1.1403 -3.1080
-3.9743 -3.1306 4.2867
-1.5977 10.0886 5.8866
Na Ca Mg
2 2 12
Cartesian
-4.3788 0.6863 1.5705 Na
-3.1905 7.2960 2.3704 Na
-2.3928 2.2592 -0.5685 Ca
-5.1788 5.7382 4.5182 Ca
-3.7763 4.0191 1.9693 Mg
-5.7861 2.4359 4.1371 Mg
-3.0977 -1.5521 3.6670 Mg
-1.1267 0.0005 1.5411 Mg
-0.5383 3.3988 1.9832 Mg
-2.5230 1.8183 4.1177 Mg
-6.5623 7.4981 7.0560 Mg
-4.5978 9.0456 4.9370 Mg
-1.9094 5.0575 4.4670 Mg
-3.9127 3.4795 6.6277 Mg
-3.3242 6.8778 7.0698 Mg
-1.3347 8.4279 4.9176 Mg
```

***

# 15
A plane-wave DFT calculation with GGA-PBE was carried out for a geometry-optimized NaCaMg6 structure.

The structure in POSCAR format:
```
NaCaMg6
1.0
5.4349 0.0000 0.0000
0.0000 6.6353 0.0000
0.0000 0.0000 11.5774
Na Ca Mg
2 2 12
Cartesian
0.0000 0.0000 0.0000 Na
0.0000 3.3177 5.7887 Na
2.7174 0.0000 1.9645 Ca
2.7174 3.3177 7.7532 Ca
0.0000 0.0000 5.8119 Mg
0.0000 1.6543 8.7082 Mg
0.0000 1.6634 2.9195 Mg
0.0000 3.3177 0.0232 Mg
0.0000 4.9720 2.9195 Mg
0.0000 4.9810 8.7082 Mg
2.7174 0.0000 7.7510 Mg
2.7174 1.6515 10.6226 Mg
2.7174 1.6662 4.8339 Mg
2.7174 3.3177 1.9623 Mg
2.7174 4.9692 4.8339 Mg
2.7174 4.9838 10.6226 Mg
```

Calculated values
The symmetry is Amm2 (38).

***

# 16
A plane-wave DFT calculation with GGA-PBE was carried out for a geometry-optimized NaCaMg14 structure.

The structure in POSCAR format:
```
NaCaMg14
1.0
10.5336 0.0000 0.0000
0.0000 3.2753 5.6977
0.0000 -3.2753 5.6977
Na Ca Mg
1 1 14
Cartesian
0.0000 0.0000 0.0000 Na
0.0000 0.0000 5.7028 Ca
0.0000 -1.6128 8.5793 Mg
0.0000 1.6128 8.5793 Mg
2.6399 0.0000 1.9377 Mg
2.6951 0.0000 7.6382 Mg
2.7562 -1.6409 4.7310 Mg
2.7562 1.6409 4.7310 Mg
5.2668 0.0000 0.0081 Mg
5.2668 -1.6401 2.8648 Mg
5.2668 0.0000 5.7109 Mg
5.2668 1.6401 2.8648 Mg
7.7774 -1.6409 4.7310 Mg
7.7774 1.6409 4.7310 Mg
7.8384 0.0000 7.6382 Mg
7.8937 0.0000 1.9377 Mg
```

Calculated values
The symmetry is Amm2 (38).

***

# 17
A plane-wave DFT calculation with GGA-PBE was carried out for a geometry-optimized NaCaMg14 structure.

The structure in POSCAR format:
```
NaCaMg14
1.0
6.5986 0.0000 0.0000
-3.2993 5.7145 0.0000
0.0000 0.0000 10.3658
Na Ca Mg
1 1 14
Cartesian
0.0000 0.0000 0.0000 Na
0.0000 0.0000 5.1829 Ca
-1.6350 2.8657 0.0000 Mg
-1.6188 2.8751 5.1829 Mg
0.0000 1.9515 2.5601 Mg
0.0000 1.9515 7.8057 Mg
-1.6092 4.7388 2.5601 Mg
-1.6092 4.7388 7.8057 Mg
1.6188 2.8751 5.1829 Mg
0.0000 5.6789 5.1829 Mg
1.6350 2.8657 0.0000 Mg
0.0000 5.6977 0.0000 Mg
1.6092 4.7388 2.5601 Mg
1.6092 4.7388 7.8057 Mg
3.2993 1.9048 2.6119 Mg
3.2993 1.9048 7.7538 Mg
```

Calculated values
The symmetry is P-6m2 (187).

***

| no. | DFT total energy (eV/cell) |
| --- | --- |
| 1 | -9.942 |
| 2 | -13.923 |
| 3 | -20.391 |
| 4 | -23.081 |
| 5 | -21.469 |
| 6 | -19.747 |
| 7 | -6.502 |
| 8 | -28.018 |
| 9 | -21.787 |
| 10 | -21.128 |
| 11 | -40.636 |
| 12 | -103.666 |
| 13 | -437.006 |
| 14 | -24.893 |
| 15 | -24.920 |
| 16 | -25.126 |
| 17 | -25.217 |